Record 1
Below is a geometry-optimized Co2Hg2H2S2O11 structure, with properties calculated at the PBE+U level.

spin magnetization = 0.006 μB/atom
DFT formation energy = -2376 kJ/mol of formula units
electronic total energy = -392.413 eV/cell

Cell and atoms, written as CIF:
```
data_Co2Hg2H2S2O11
_chemical_formula_sum 'Co8 Hg8 H8 S8 O44'
_cell_length_a 6.196
_cell_length_b 11.372
_cell_length_c 13.329
_cell_angle_alpha 90.00
_cell_angle_beta 90.00
_cell_angle_gamma 90.00
_symmetry_space_group_name_H-M 'P b c m'
_symmetry_Int_Tables_number 57
loop_
_symmetry_equiv_pos_as_xyz
'x,y,z'
'-x,-y,-z'
'-x,-y,z+1/2'
'x,y,-z+1/2'
'x,-y+1/2,-z'
'-x,y+1/2,z'
'-x,y+1/2,-z+1/2'
'x,-y+1/2,z+1/2'
loop_
_atom_site_label
_atom_site_type_symbol
_atom_site_fract_x
_atom_site_fract_y
_atom_site_fract_z
Co1 Co 0.019 0.169 0.125
Hg1 Hg 0.201 0.080 0.750
Hg2 Hg 0.476 0.670 0.250
H1 H 0.309 0.191 0.529
S1 S 0.267 0.589 0.577
O1 O 0.115 0.666 0.636
O2 O 0.164 0.604 0.250
O3 O 0.206 0.250 0.000
O4 O 0.212 0.234 0.250
O5 O 0.214 0.595 0.032
O6 O 0.242 0.033 0.116
O7 O 0.491 0.628 0.596
```

---

Record 2
Below is a geometry-optimized K2CoH4I4O14 structure, with properties calculated at the PBE+U level.

spin magnetization = 0.000 μB/atom
polymorph energy (0 for the lowest one) = 0 meV/atom
DFT formation energy = -2916 kJ/mol of formula units
electronic total energy = -234.474 eV/cell

Cell and atoms, written as CIF:
```
data_K2CoH4I4O14
_chemical_formula_sum 'K4 Co2 H8 I8 O28'
_cell_length_a 8.045
_cell_length_b 8.115
_cell_length_c 11.631
_cell_angle_alpha 88.47
_cell_angle_beta 89.11
_cell_angle_gamma 87.81
_symmetry_space_group_name_H-M 'P 1'
_symmetry_Int_Tables_number 1
loop_
_symmetry_equiv_pos_as_xyz
'x,y,z'
loop_
_atom_site_label
_atom_site_type_symbol
_atom_site_fract_x
_atom_site_fract_y
_atom_site_fract_z
K1 K 0.000 0.000 0.000
K2 K 0.238 0.238 0.762
K3 K 0.500 0.500 0.500
K4 K 0.739 0.739 0.262
Co1 Co 0.024 0.028 0.475
Co2 Co 0.527 0.526 0.975
H1 H 0.181 0.274 0.352
H2 H 0.193 0.101 0.272
H3 H 0.278 0.375 0.097
H4 H 0.451 0.354 0.173
H5 H 0.682 0.775 0.851
H6 H 0.696 0.602 0.772
H7 H 0.779 0.875 0.597
H8 H 0.951 0.855 0.673
I1 I 0.002 0.473 0.509
I2 I 0.227 0.755 0.262
I3 I 0.270 0.713 0.770
I4 I 0.452 0.009 0.509
I5 I 0.501 0.973 0.009
I6 I 0.726 0.255 0.763
I7 I 0.769 0.213 0.269
I8 I 0.952 0.509 0.008
O1 O 0.017 0.258 0.566
O2 O 0.056 0.789 0.793
O3 O 0.058 0.812 0.364
O4 O 0.073 0.340 0.078
O5 O 0.154 0.155 0.344
O6 O 0.180 0.462 0.408
O7 O 0.234 0.951 0.179
O8 O 0.242 0.553 0.664
O9 O 0.244 0.959 0.569
O10 O 0.290 0.574 0.899
O11 O 0.329 0.969 0.907
O12 O 0.399 0.398 0.101
O13 O 0.413 0.773 0.351
O14 O 0.492 0.181 0.602
O15 O 0.513 0.759 0.065
O16 O 0.555 0.289 0.293
O17 O 0.555 0.313 0.863
O18 O 0.574 0.840 0.578
O19 O 0.656 0.656 0.844
O20 O 0.679 0.963 0.908
O21 O 0.734 0.450 0.679
O22 O 0.742 0.053 0.163
O23 O 0.744 0.460 0.066
O24 O 0.790 0.075 0.398
O25 O 0.829 0.468 0.408
O26 O 0.899 0.899 0.601
O27 O 0.912 0.273 0.851
O28 O 0.991 0.681 0.102
```

---

Record 3
Below is a geometry-optimized K2CoH4I4O14 structure, with properties calculated at the PBE+U level.

spin magnetization = 0.000 μB/atom
polymorph energy (0 for the lowest one) = 31 meV/atom
DFT formation energy = -2842 kJ/mol of formula units
electronic total energy = -465.864 eV/cell

Cell and atoms, written as CIF:
```
data_K2CoH4I4O14
_chemical_formula_sum 'K8 Co4 H16 I16 O56'
_cell_length_a 8.001
_cell_length_b 11.220
_cell_length_c 16.678
_cell_angle_alpha 90.78
_cell_angle_beta 90.02
_cell_angle_gamma 90.02
_symmetry_space_group_name_H-M 'P 1'
_symmetry_Int_Tables_number 1
loop_
_symmetry_equiv_pos_as_xyz
'x,y,z'
loop_
_atom_site_label
_atom_site_type_symbol
_atom_site_fract_x
_atom_site_fract_y
_atom_site_fract_z
K1 K 0.000 0.000 0.000
K2 K 0.000 0.000 0.500
K3 K 0.024 0.501 0.250
K4 K 0.025 0.500 0.750
K5 K 0.500 0.501 0.250
K6 K 0.500 0.501 0.750
K7 K 0.525 0.000 0.000
K8 K 0.525 0.000 0.500
Co1 Co 0.451 0.003 0.250
Co2 Co 0.451 0.003 0.750
Co3 Co 0.950 0.499 0.000
Co4 Co 0.951 0.498 0.500
H1 H 0.123 0.047 0.211
H2 H 0.123 0.047 0.712
H3 H 0.124 0.954 0.290
H4 H 0.125 0.954 0.791
H5 H 0.273 0.453 0.961
H6 H 0.273 0.549 0.039
H7 H 0.274 0.452 0.462
H8 H 0.274 0.550 0.538
H9 H 0.623 0.453 0.539
H10 H 0.624 0.454 0.040
H11 H 0.625 0.546 0.960
H12 H 0.625 0.547 0.459
H13 H 0.774 0.049 0.288
H14 H 0.774 0.049 0.788
H15 H 0.774 0.951 0.212
H16 H 0.774 0.951 0.712
I1 I 0.271 0.236 0.627
I2 I 0.271 0.764 0.373
I3 I 0.271 0.764 0.873
I4 I 0.272 0.236 0.127
I5 I 0.277 0.222 0.370
I6 I 0.278 0.223 0.870
I7 I 0.279 0.779 0.130
I8 I 0.280 0.779 0.630
I9 I 0.771 0.264 0.623
I10 I 0.771 0.736 0.877
I11 I 0.771 0.737 0.378
I12 I 0.772 0.264 0.123
I13 I 0.777 0.278 0.380
I14 I 0.778 0.278 0.880
I15 I 0.779 0.722 0.121
I16 I 0.780 0.722 0.620
O1 O 0.083 0.143 0.137
O2 O 0.083 0.143 0.637
O3 O 0.084 0.859 0.363
O4 O 0.084 0.859 0.863
O5 O 0.190 0.003 0.251
O6 O 0.190 0.003 0.752
O7 O 0.204 0.501 0.000
O8 O 0.205 0.500 0.500
O9 O 0.259 0.680 0.777
O10 O 0.259 0.681 0.277
O11 O 0.261 0.319 0.223
O12 O 0.261 0.319 0.723
O13 O 0.265 0.156 0.470
O14 O 0.265 0.156 0.970
O15 O 0.265 0.845 0.030
O16 O 0.266 0.845 0.530
O17 O 0.372 0.367 0.393
O18 O 0.373 0.367 0.893
O19 O 0.373 0.634 0.107
O20 O 0.374 0.634 0.607
O21 O 0.429 0.121 0.648
O22 O 0.430 0.121 0.148
O23 O 0.430 0.877 0.351
O24 O 0.431 0.877 0.851
O25 O 0.468 0.143 0.335
O26 O 0.469 0.143 0.836
O27 O 0.470 0.858 0.165
O28 O 0.470 0.858 0.664
O29 O 0.583 0.358 0.113
O30 O 0.583 0.358 0.613
O31 O 0.584 0.641 0.887
O32 O 0.584 0.642 0.387
O33 O 0.690 0.498 0.498
O34 O 0.691 0.499 0.000
O35 O 0.705 0.001 0.250
O36 O 0.705 0.001 0.750
O37 O 0.759 0.821 0.473
O38 O 0.760 0.182 0.027
O39 O 0.760 0.820 0.973
O40 O 0.761 0.182 0.527
O41 O 0.765 0.345 0.280
O42 O 0.765 0.345 0.780
O43 O 0.765 0.656 0.220
O44 O 0.766 0.656 0.720
O45 O 0.873 0.134 0.357
O46 O 0.873 0.134 0.857
O47 O 0.874 0.867 0.144
O48 O 0.874 0.867 0.644
O49 O 0.929 0.380 0.602
O50 O 0.930 0.380 0.102
O51 O 0.930 0.623 0.899
O52 O 0.930 0.624 0.400
O53 O 0.968 0.358 0.415
O54 O 0.969 0.358 0.914
O55 O 0.970 0.643 0.086
O56 O 0.971 0.643 0.586
```

---

Record 4
Below is a geometry-optimized K2CoH4I4O14 structure, with properties calculated at the PBE+U level.

spin magnetization = 0.040 μB/atom
polymorph energy (0 for the lowest one) = 15 meV/atom
DFT formation energy = -2879 kJ/mol of formula units
electronic total energy = -467.411 eV/cell

Cell and atoms, written as CIF:
```
data_K2CoH4I4O14
_chemical_formula_sum 'K8 Co4 H16 I16 O56'
_cell_length_a 7.987
_cell_length_b 8.095
_cell_length_c 26.749
_cell_angle_alpha 83.87
_cell_angle_beta 81.42
_cell_angle_gamma 60.49
_symmetry_space_group_name_H-M 'P 1'
_symmetry_Int_Tables_number 1
loop_
_symmetry_equiv_pos_as_xyz
'x,y,z'
loop_
_atom_site_label
_atom_site_type_symbol
_atom_site_fract_x
_atom_site_fract_y
_atom_site_fract_z
K1 K 0.000 0.000 0.000
K2 K 0.024 0.500 0.499
K3 K 0.250 0.250 0.250
K4 K 0.274 0.751 0.749
K5 K 0.500 0.501 0.499
K6 K 0.523 0.001 0.000
K7 K 0.750 0.751 0.749
K8 K 0.774 0.250 0.250
Co1 Co 0.072 0.130 0.624
Co2 Co 0.323 0.380 0.875
Co3 Co 0.573 0.625 0.125
Co4 Co 0.824 0.874 0.374
H1 H 0.054 0.257 0.883
H2 H 0.125 0.880 0.406
H3 H 0.161 0.871 0.343
H4 H 0.201 0.745 0.116
H5 H 0.311 0.506 0.133
H6 H 0.383 0.128 0.656
H7 H 0.419 0.119 0.593
H8 H 0.450 0.994 0.366
H9 H 0.560 0.756 0.383
H10 H 0.632 0.378 0.907
H11 H 0.666 0.372 0.843
H12 H 0.693 0.243 0.616
H13 H 0.805 0.006 0.632
H14 H 0.873 0.630 0.156
H15 H 0.909 0.622 0.093
H16 H 0.944 0.492 0.866
I1 I 0.009 0.027 0.509
I2 I 0.044 0.474 0.991
I3 I 0.135 0.646 0.627
I4 I 0.155 0.107 0.122
I5 I 0.260 0.278 0.759
I6 I 0.295 0.723 0.239
I7 I 0.385 0.895 0.877
I8 I 0.405 0.357 0.372
I9 I 0.508 0.527 0.011
I10 I 0.546 0.973 0.489
I11 I 0.633 0.144 0.127
I12 I 0.656 0.605 0.622
I13 I 0.758 0.777 0.260
I14 I 0.795 0.224 0.740
I15 I 0.883 0.394 0.377
I16 I 0.907 0.855 0.872
O1 O 0.029 0.176 0.703
O2 O 0.042 0.619 0.039
O3 O 0.050 0.967 0.103
O4 O 0.065 0.375 0.875
O5 O 0.073 0.876 0.374
O6 O 0.121 0.028 0.896
O7 O 0.132 0.064 0.191
O8 O 0.132 0.241 0.024
O9 O 0.138 0.687 0.558
O10 O 0.147 0.510 0.725
O11 O 0.158 0.073 0.546
O12 O 0.163 0.680 0.853
O13 O 0.200 0.882 0.461
O14 O 0.201 0.818 0.645
O15 O 0.278 0.427 0.953
O16 O 0.297 0.867 0.287
O17 O 0.299 0.218 0.353
O18 O 0.322 0.625 0.124
O19 O 0.334 0.120 0.624
O20 O 0.370 0.284 0.146
O21 O 0.382 0.314 0.441
O22 O 0.384 0.491 0.273
O23 O 0.388 0.935 0.808
O24 O 0.398 0.759 0.977
O25 O 0.410 0.325 0.796
O26 O 0.411 0.938 0.104
O27 O 0.449 0.070 0.895
O28 O 0.452 0.132 0.711
O29 O 0.528 0.677 0.201
O30 O 0.546 0.471 0.603
O31 O 0.548 0.117 0.536
O32 O 0.571 0.875 0.374
O33 O 0.581 0.374 0.875
O34 O 0.619 0.533 0.396
O35 O 0.631 0.565 0.691
O36 O 0.634 0.741 0.523
O37 O 0.638 0.186 0.058
O38 O 0.647 0.010 0.227
O39 O 0.656 0.575 0.049
O40 O 0.661 0.188 0.354
O41 O 0.702 0.383 0.963
O42 O 0.703 0.313 0.145
O43 O 0.779 0.925 0.450
O44 O 0.794 0.370 0.788
O45 O 0.796 0.721 0.853
O46 O 0.815 0.126 0.624
O47 O 0.823 0.625 0.125
O48 O 0.872 0.780 0.646
O49 O 0.882 0.992 0.774
O50 O 0.883 0.814 0.941
O51 O 0.887 0.437 0.308
O52 O 0.896 0.260 0.475
O53 O 0.906 0.824 0.299
O54 O 0.912 0.431 0.604
O55 O 0.950 0.634 0.212
O56 O 0.951 0.563 0.395
```